Entry 1:
The following is a DFT calculation (meta-GGA r2SCAN) of an optimized crystal structure of MnO2.

Unit cell a=9.181 b=2.858 c=4.562 alpha=90.00 beta=90.00 gamma=90.00
Space group Pnma (No. 62)
One atom of each set of equivalent atoms:
Mn 0.134 0.250 0.036 [4 per cell]
O 0.031 0.750 0.216 [4 per cell]
O 0.225 0.750 0.840 [4 per cell]

Results
As for the formation energy: -2020 meV/atom.



Entry 2:
The following is a DFT calculation (meta-GGA r2SCAN) of an optimized crystal structure of Tb3Ga2.

Unit cell a=11.654 b=11.654 c=14.865 alpha=90.00 beta=90.00 gamma=90.00
Space group I4/mcm (No. 140)
One atom of each set of equivalent atoms:
Tb 0.000 0.500 0.147 [8 per cell]
Tb 0.068 0.202 0.136 [32 per cell]
Tb 0.168 0.332 0.500 [8 per cell]
Ga 0.000 0.000 0.000 [4 per cell]
Ga 0.000 0.000 0.250 [4 per cell]
Ga 0.117 0.383 0.000 [8 per cell]
Ga 0.178 0.322 0.299 [16 per cell]

Results
As for the formation energy: -643 meV/atom.



Entry 3:
The following is a DFT calculation (meta-GGA r2SCAN) of an optimized crystal structure of LaIn.

Unit cell a=3.954 b=3.954 c=3.954 alpha=90.00 beta=90.00 gamma=90.00
Space group Pm-3m (No. 221)
One atom of each set of equivalent atoms:
La 0.000 0.000 0.000 [1 per cell]
In 0.500 0.500 0.500 [1 per cell]

Results
As for the formation energy: -649 meV/atom.



Entry 4:
The following is a DFT calculation (meta-GGA r2SCAN) of an optimized crystal structure of Li2MgPb.

Unit cell a=6.740 b=6.740 c=6.740 alpha=90.00 beta=90.00 gamma=90.00
Space group Fm-3m (No. 225)
One atom of each set of equivalent atoms:
Li 0.250 0.250 0.250 [8 per cell]
Mg 0.000 0.000 0.000 [4 per cell]
Pb 0.000 0.000 0.500 [4 per cell]

Results
As for the formation energy: -319 meV/atom.



Entry 5:
The following is a DFT calculation (meta-GGA r2SCAN) of an optimized crystal structure of Dy3SbO7.

Unit cell a=7.416 b=10.476 c=7.454 alpha=90.00 beta=90.00 gamma=90.00
Space group C222_1 (No. 20)
One atom of each set of equivalent atoms:
Dy 0.004 0.000 0.000 [4 per cell]
Dy 0.234 0.266 0.751 [8 per cell]
Sb 0.000 0.500 0.000 [4 per cell]
O 0.000 0.130 0.250 [4 per cell]
O 0.000 0.137 0.750 [4 per cell]
O 0.000 0.431 0.750 [4 per cell]
O 0.195 0.375 0.031 [8 per cell]
O 0.198 0.376 0.470 [8 per cell]

Results
As for the formation energy: -3303 meV/atom.



Entry 6:
The following is a DFT calculation (meta-GGA r2SCAN) of an optimized crystal structure of CaSi2Ni2.

Unit cell a=3.962 b=3.962 c=9.640 alpha=90.00 beta=90.00 gamma=90.00
Space group I4/mmm (No. 139)
One atom of each set of equivalent atoms:
Ca 0.000 0.000 0.000 [2 per cell]
Si 0.000 0.000 0.369 [4 per cell]
Ni 0.000 0.500 0.250 [4 per cell]

Results
As for the formation energy: -647 meV/atom.



Entry 7:
The following is a DFT calculation (meta-GGA r2SCAN) of an optimized crystal structure of Mg5In.

Unit cell a=5.075 b=3.237 c=16.474 alpha=90.00 beta=90.00 gamma=90.00
Space group Amm2 (No. 38)
One atom of each set of equivalent atoms:
Mg 0.000 0.000 0.000 [2 per cell]
Mg 0.000 0.000 0.332 [2 per cell]
Mg 0.000 0.000 0.667 [2 per cell]
Mg 0.500 0.000 0.221 [2 per cell]
Mg 0.500 0.000 0.888 [2 per cell]
In 0.500 0.000 0.556 [2 per cell]

Results
As for the formation energy: -45 meV/atom.



Entry 8:
The following is a DFT calculation (meta-GGA r2SCAN) of an optimized crystal structure of GdAl6Fe6.

Unit cell a=4.974 b=8.608 c=8.631 alpha=90.00 beta=90.00 gamma=90.00
Space group Immm (No. 71)
One atom of each set of equivalent atoms:
Gd 0.000 0.000 0.000 [2 per cell]
Al 0.000 0.000 0.348 [4 per cell]
Al 0.000 0.339 0.000 [4 per cell]
Al 0.000 0.500 0.303 [4 per cell]
Fe 0.000 0.261 0.500 [4 per cell]
Fe 0.250 0.250 0.250 [8 per cell]

Results
As for the formation energy: -320 meV/atom.



Entry 9:
The following is a DFT calculation (meta-GGA r2SCAN) of an optimized crystal structure of Ce3Th.

Unit cell a=4.811 b=4.811 c=9.536 alpha=90.00 beta=90.00 gamma=90.00
Space group I4/mmm (No. 139)
One atom of each set of equivalent atoms:
Ce 0.000 0.000 0.000 [2 per cell]
Ce 0.000 0.500 0.250 [4 per cell]
Th 0.000 0.000 0.500 [2 per cell]

Results
As for the formation energy: 26 meV/atom.



Entry 10:
The following is a DFT calculation (meta-GGA r2SCAN) of an optimized crystal structure of DyC2.

Unit cell a=3.659 b=3.659 c=6.185 alpha=90.00 beta=90.00 gamma=90.00
Space group I4/mmm (No. 139)
One atom of each set of equivalent atoms:
Dy 0.000 0.000 0.000 [2 per cell]
C 0.000 0.000 0.395 [4 per cell]

Results
As for the formation energy: -370 meV/atom.



Entry 11:
The following is a DFT calculation (meta-GGA r2SCAN) of an optimized crystal structure of GeO2.

Unit cell a=7.369 b=13.160 c=7.360 alpha=90.00 beta=117.78 gamma=90.00
Space group C2/c (No. 15)
One atom of each set of equivalent atoms:
Ge 0.183 0.138 0.068 [8 per cell]
Ge 0.212 0.409 0.453 [8 per cell]
O 0.000 0.354 0.250 [4 per cell]
O 0.075 0.109 0.591 [8 per cell]
O 0.173 0.460 0.967 [8 per cell]
O 0.245 0.155 0.325 [8 per cell]
O 0.250 0.250 0.000 [4 per cell]

Results
As for the formation energy: -1733 meV/atom.



Entry 12:
The following is a DFT calculation (meta-GGA r2SCAN) of an optimized crystal structure of HgF2.

Unit cell a=5.168 b=5.168 c=3.759 alpha=90.00 beta=90.00 gamma=90.00
Space group P4_2/mnm (No. 136)
One atom of each set of equivalent atoms:
Hg 0.000 0.000 0.000 [2 per cell]
F 0.194 0.194 0.500 [4 per cell]

Results
Its excess energy over the best structure of this formula in the dataset is 17 kJ/mol of formula units. As for the formation energy: -1513 meV/atom.